The following is a DFT calculation (meta-GGA r2SCAN) of a geometry-optimized Pa3Sb structure.

As for the energy of formation from the pure elements: -0.38 eV per atom.

```
data_Pa3Sb
_chemical_formula_sum 'Pa3 Sb1'
_cell_length_a 4.595
_cell_length_b 4.595
_cell_length_c 4.595
_cell_angle_alpha 90.00
_cell_angle_beta 90.00
_cell_angle_gamma 90.00
_symmetry_space_group_name_H-M 'P m -3 m'
_symmetry_Int_Tables_number 221
_symmetry_space_group_name_Hall '-P 4 2 3'
loop_
_atom_site_label
_atom_site_type_symbol
_atom_site_fract_x
_atom_site_fract_y
_atom_site_fract_z
_atom_site_occupancy
Pa1 Pa 0.000 0.000 0.500 1
Sb1 Sb 0.500 0.500 0.500 1
```